(1)
Computed, not measured: a relaxed Li3NiO2F2 crystal at the GGA+U level of DFT.

## Properties
Offset from the most stable computed form = 0.4 kJ per mole of atoms

Geometry as extended XYZ:
```
32
Lattice="-4.891 -0.975 -0.553 1.509 -3.457 6.772 -0.152 7.365 2.436" Properties=species:S:1:pos:R:3 pbc="T T T"
F -4.556 4.843 3.877
O -0.009 1.062 0.786
Li -1.187 2.704 1.389
Ni -0.622 2.239 4.250
O -3.531 1.848 7.854
O -4.198 -0.086 3.265
Ni 0.194 -3.119 6.395
Li -2.784 2.809 6.202
F -1.656 -1.051 4.000
Ni -2.899 0.639 4.423
O -1.585 1.260 5.621
O -2.250 -0.690 1.033
Ni -3.749 6.104 2.247
F -1.904 4.009 4.679
Li -2.350 0.245 7.285
Li -2.466 -2.171 5.546
Li -0.234 -0.309 5.276
Li -0.073 2.080 7.060
Li -3.297 3.217 3.392
F -2.464 4.334 1.810
F -3.701 -0.564 6.006
O -1.959 1.671 3.012
F 0.188 3.500 2.611
Li -0.509 4.640 5.976
O 0.676 3.034 5.401
Li -0.826 0.076 2.381
F -1.047 -1.423 6.824
Li -1.067 5.126 3.093
O -1.267 3.631 7.637
Li -3.388 0.905 1.671
Li -3.027 -1.722 2.663
F 0.998 -1.914 4.819
```


(2)
Computed, not measured: a relaxed Li11FeW7O28 crystal at the GGA+U level of DFT.

Geometry as extended XYZ:
```
47
Lattice="6.033 6.054 0.000 -6.033 6.054 0.000 0.000 0.091 8.302" Properties=species:S:1:pos:R:3 pbc="T T T"
O -1.406 8.956 5.128
O 0.000 10.655 3.112
O 1.595 3.063 1.040
W 2.968 9.037 0.004
O 4.539 6.088 5.172
O -1.595 3.063 1.040
O 3.037 7.668 7.266
O 1.402 8.968 1.008
O 1.291 6.170 5.026
O -3.034 4.557 7.286
Li 1.549 2.712 2.969
O -2.844 4.682 3.094
Li 1.779 6.084 7.469
Li -3.377 4.522 5.364
W 0.000 7.862 5.420
W -1.750 6.112 3.016
O -4.539 6.088 5.172
Li -1.549 2.712 2.969
O 3.034 4.557 7.286
Li -3.397 7.682 5.337
O 0.000 4.772 7.078
W 0.000 12.140 4.146
O -1.314 6.221 1.170
O 2.844 4.682 3.094
W 0.000 4.356 5.303
O -1.440 3.274 5.106
O -3.037 7.668 7.266
O 0.000 1.524 3.120
O -1.291 6.170 5.026
O 1.314 6.221 1.170
W 1.750 6.112 3.016
W -2.968 9.037 0.004
Li -1.548 9.447 2.992
Fe 0.000 7.641 1.014
Li 1.548 9.447 2.992
Li -1.779 6.084 7.469
O 0.000 7.476 3.074
O 1.440 3.274 5.106
O 1.406 8.956 5.128
O 0.000 7.608 7.239
Li 3.377 4.522 5.364
O -1.402 8.968 1.008
O -2.848 7.537 3.190
O 2.848 7.537 3.190
O 0.000 4.822 3.229
Li 3.397 7.682 5.337
Li 0.000 4.268 0.782
```


Let's list energy of formation in order: -1732 -10210 kJ/mol of formula units.
Let's list final energy in order: -153.40 -311.98 eV per cell.